64
Lattice="0.0000 11.5068 10.0947 3.6417 0.0000 10.0947 3.6417 11.5068 0.0000" Properties=species:S:1:pos:R:3 comment="GGA+U NaV2O5, relaxed" relative_energy_mev_per_atom=11 energy_ev_per_atom=-7.07 vol_a3_per_atom=13.22 space_group=Fmm2 formation_energy_mev_per_atom=-2400 pbc="T T T"
Na 0.0000 0.0000 0.0000
Na 1.8209 5.7534 3.7179
Na 3.6417 11.5068 5.0376
Na 1.8209 5.7534 8.7644
Na 3.6417 11.5068 10.0864
Na 5.4626 17.2602 13.8126
Na 3.6417 11.5068 15.1412
Na 5.4626 17.2602 18.8591
V 5.4597 9.7814 7.4231
V 3.6417 7.4590 6.4403
V 5.4597 13.2323 7.4231
V 3.6417 3.9827 11.3704
V 5.4599 9.7809 12.4696
V 3.6417 7.4536 11.5013
V 5.4599 13.2327 12.4696
V 3.6417 15.5547 6.4403
V 1.8238 9.7814 7.4231
V 3.6417 7.5209 16.4347
V 1.8238 13.2323 7.4231
V 3.6417 15.5600 11.5013
V 1.8235 9.7809 12.4696
V 3.6417 19.0309 11.3704
V 1.8235 13.2327 12.4696
V 3.6417 15.4927 16.4346
O 1.8462 3.6911 1.9383
O 1.8145 1.5073 4.0095
O 3.6417 7.2702 4.8072
O 5.4528 11.5068 6.7736
O 3.6417 5.8011 7.0798
O 5.4639 9.9990 9.0580
O 3.6417 4.2603 9.7380
O 3.6417 2.0437 11.8586
O 1.7955 7.8158 1.9383
O 3.6417 9.4495 6.8355
O 1.7908 3.6894 6.9860
O 5.4639 13.0146 9.0580
O 3.6417 7.2730 9.8679
O 5.4505 11.5068 11.8203
O 3.6417 5.7877 12.1257
O 1.8273 9.9995 4.0095
O 3.6417 15.7435 4.8072
O 3.6417 13.5641 6.8355
O 1.8509 7.8175 6.9860
O 3.6417 9.4465 11.8872
O 5.4372 15.1979 12.0330
O 5.4690 13.0141 14.1042
O 3.6417 7.2493 14.8019
O 1.8306 11.5068 6.7736
O 3.6417 17.2125 7.0798
O 1.8196 9.9990 9.0580
O 3.6417 15.7406 9.8679
O 3.6417 13.5671 11.8872
O 5.4880 19.3226 12.0330
O 3.6417 9.4621 16.9110
O 5.4927 15.1962 17.0808
O 1.8196 13.0146 9.0580
O 3.6417 18.7533 9.7380
O 1.8330 11.5068 11.8203
O 3.6417 17.2259 12.1257
O 5.4562 21.5063 14.1042
O 3.6417 15.7644 14.8019
O 3.6417 13.5515 16.9110
O 5.4325 19.3243 17.0808
O 3.6417 20.9700 11.8586

---

16
Lattice="7.1836 0.0000 0.0000 0.0000 6.1517 0.0000 0.0000 0.0000 5.6029" Properties=species:S:1:pos:R:3 comment="GGA+U Na3VO4, relaxed" energy_ev_per_atom=-5.84 vol_a3_per_atom=15.47 piezo_max_c_m2=1.19 space_group=Pmn2_1 formation_energy_mev_per_atom=-2295 pbc="T T T"
Na 0.0000 0.9750 0.0000
Na 1.7677 2.0080 2.8093
Na 1.8241 4.1437 0.0078
Na 3.5918 5.1767 2.8014
Na 5.3595 4.1437 0.0078
Na 5.4159 2.0080 2.8093
V 0.0000 5.0858 2.8776
V 3.5918 1.0659 0.0762
O 0.0000 0.6005 2.3334
O 0.0000 5.0585 4.6174
O 1.4467 4.2594 2.3197
O 2.1451 1.8923 5.1211
O 3.5918 1.0932 1.8159
O 3.5918 5.5512 5.1348
O 5.0385 1.8923 5.1211
O 5.7370 4.2594 2.3197

---

22
Lattice="0.0000 4.6952 10.1459 3.0097 0.0000 10.1459 3.0097 4.6952 0.0000" Properties=species:S:1:pos:R:3 comment="GGA+U Na4V2O5, relaxed" energy_ev_per_atom=-5.78 vol_a3_per_atom=13.03 space_group=Fddd formation_energy_mev_per_atom=-2022 pbc="T T T"
Na 3.7595 3.5271 5.6949
Na 3.7595 3.5157 9.5239
Na 5.2643 5.8634 10.7679
Na 5.2643 5.8747 14.5968
Na 0.7551 3.5157 5.6949
Na 0.7551 3.5271 9.5239
Na 2.2600 5.8747 10.7679
Na 2.2600 5.8634 14.5968
V 2.2573 1.5884 7.6094
V 3.7622 3.9360 12.6824
V 2.2573 5.4544 7.6094
V 3.7622 7.8021 12.6824
O 2.2573 3.5214 1.1568
O 2.2573 3.5214 3.8416
O 3.7622 5.8690 6.2297
O 2.2573 3.5214 7.6094
O 3.7622 5.8690 8.9146
O 2.2573 3.5214 11.3772
O 3.7622 5.8690 12.6824
O 2.2573 3.5214 14.0620
O 3.7622 5.8690 16.4502
O 3.7622 5.8690 19.1350

---

16
Lattice="3.7128 0.0000 0.0000 0.0000 11.3293 0.0000 0.0000 0.0000 6.5295" Properties=species:S:1:pos:R:3 comment="GGA+U NaV2O5, relaxed" relative_energy_mev_per_atom=73 energy_ev_per_atom=-7.01 vol_a3_per_atom=17.17 space_group=Pmmn formation_energy_mev_per_atom=-2338 pbc="T T T"
Na 0.9282 2.8323 0.6075
Na 2.7846 8.4970 5.9220
V 0.9282 6.7838 3.7869
V 0.9282 10.2102 3.7869
V 2.7846 1.1191 2.7426
V 2.7846 4.5455 2.7426
O 0.9282 0.7802 3.2106
O 0.9282 4.8844 3.2106
O 0.9282 6.9757 5.4426
O 0.9282 8.4970 3.1648
O 0.9282 10.0183 5.4426
O 2.7846 1.3110 1.0869
O 2.7846 2.8323 3.3647
O 2.7846 4.3536 1.0869
O 2.7846 6.4449 3.3189
O 2.7846 10.5491 3.3189

---

44
Lattice="7.3039 0.0000 0.0000 1.8268 7.8251 0.0000 0.0001 3.4740 9.6723" Properties=species:S:1:pos:R:3 comment="GGA+U NaV6O15, relaxed" relative_energy_mev_per_atom=0 energy_ev_per_atom=-7.30 vol_a3_per_atom=12.56 space_group=P-1 formation_energy_mev_per_atom=-2321 pbc="T T T"
Na 1.8267 0.4359 1.0120
Na 7.3041 10.8632 8.6602
V 1.8293 6.6569 3.8489
V 1.8273 4.8016 0.8865
V 1.8265 3.1487 3.7193
V 3.6524 8.1427 5.9783
V 3.6539 6.5003 8.7892
V 3.6547 4.6434 5.8211
V 5.4761 6.6557 3.8511
V 5.4769 4.7988 0.8830
V 5.4784 3.1564 3.6940
V 7.3044 8.1504 5.9530
V 7.3035 6.4975 8.7858
V 7.3015 4.6422 5.8234
O 1.8758 7.8003 2.6969
O 1.8269 6.3201 0.2961
O 1.8276 7.7323 5.5575
O 1.8266 5.0811 2.6947
O 1.8261 7.0399 8.9504
O 1.8236 4.8185 5.3633
O 1.8253 2.4911 2.2101
O 1.8258 1.7391 4.8296
O 3.6523 8.8143 7.4601
O 3.6496 6.4550 4.3072
O 3.6517 4.2536 0.7299
O 3.6519 6.2260 6.9763
O 3.6534 3.5657 4.1151
O 3.6543 4.9803 9.3746
O 3.7024 3.5015 6.9755
O 5.4284 7.7976 2.6968
O 5.4766 6.3188 0.2976
O 5.4774 7.7334 5.5572
O 5.4789 5.0731 2.6960
O 5.4792 7.0455 8.9424
O 5.4812 4.8440 5.3650
O 5.4786 2.4848 2.2122
O 7.3051 9.5600 4.8427
O 7.3056 8.8080 7.4621
O 7.3072 6.4806 4.3090
O 7.3048 4.2592 0.7219
O 7.3043 6.2180 6.9776
O 7.3033 3.5668 4.1148
O 7.3040 4.9790 9.3762
O 7.2551 3.4988 6.9754

---

16
Lattice="1.8457 -5.6030 0.0000 1.8457 5.6030 0.0000 0.0000 0.0000 11.4239" Properties=species:S:1:pos:R:3 comment="GGA+U NaV2O5, relaxed" relative_energy_mev_per_atom=44 energy_ev_per_atom=-7.04 vol_a3_per_atom=14.77 space_group=Cmcm formation_energy_mev_per_atom=-2367 pbc="T T T"
Na 1.8457 4.5211 8.5679
Na 1.8457 -4.5211 2.8560
V 1.8457 3.3152 1.1386
V 1.8457 3.3152 4.5733
V 1.8457 -3.3152 6.8505
V 1.8457 -3.3152 10.2852
O 1.8457 4.9408 1.3309
O 1.8457 4.9408 4.3810
O 1.8457 2.8777 6.5214
O 1.8457 2.8777 10.6144
O 1.8457 2.5995 2.8560
O 1.8457 -2.5995 8.5679
O 1.8457 -2.8777 0.8095
O 1.8457 -2.8777 4.9024
O 1.8457 -4.9408 7.0428
O 1.8457 -4.9408 10.0930